Record 1
Material: SrCa2I6
Method: DFT, PBE
State: relaxed

Structure (extended XYZ):
```
36
Lattice="7.3401 0.0000 0.0000 0.0000 8.9777 0.0000 0.0000 3.8254 24.0599" Properties=species:S:1:pos:R:3 pbc="T T T"
Sr 0.0334 3.2356 14.1029
Sr 3.6367 1.3228 2.0729
Sr 3.7034 11.4803 21.9870
Sr 7.3067 9.5675 9.9570
Ca 3.5718 5.1627 18.0804
Ca 7.2363 7.0654 22.0296
Ca 0.0982 3.2500 6.0505
Ca 3.7738 5.1527 9.9997
Ca 3.5663 7.6504 14.0602
Ca 7.2419 9.5531 18.0094
Ca 0.1038 5.7377 2.0303
Ca 3.7682 7.6404 5.9795
I 5.5037 11.9493 19.2776
I 1.8864 4.9600 20.7041
I 5.5127 4.8486 23.4359
I 5.5064 10.0366 7.2476
I 1.7836 3.0472 8.6742
I 5.4974 2.9358 11.4059
I 1.9025 5.4578 12.5320
I 5.2516 5.3862 15.4589
I 1.7399 7.2886 16.6336
I 5.4099 7.4273 19.4563
I 1.7675 3.5451 0.5020
I 1.5815 9.3296 20.6310
I 5.7585 3.4735 3.4289
I 5.5726 9.2581 23.5579
I 1.9301 5.3758 4.6036
I 5.6002 5.5145 7.4263
I 2.0885 7.4169 8.6010
I 5.4375 7.3453 11.5279
I 1.8426 9.8673 12.6540
I 5.5564 9.7559 15.3857
I 1.8336 2.7665 16.8123
I 1.8274 7.9545 0.6240
I 5.4536 7.8432 3.3558
I 1.8364 0.8538 4.7823
```

Calculated values
space group = P2_1/c
calculated total energy = -0.1204 Ha/atom
volume = 1585.5 Å³ per cell



Record 2
Material: SrCaI4
Method: DFT, PBE
State: relaxed

Structure (extended XYZ):
```
24
Lattice="-7.8139 0.8900 -2.2564 1.8037 -3.0521 -7.4502 -2.2288 -16.8556 1.0698" Properties=species:S:1:pos:R:3 pbc="T T T"
Sr -0.9657 -16.3344 -4.5798
Sr -2.9781 -7.5504 -6.0176
Sr -5.2609 -11.4672 -2.6191
Sr -7.2734 -2.6833 -4.0570
Ca -2.6457 -12.1971 -6.1230
Ca 0.0791 -3.9528 -6.1929
Ca -8.3181 -15.0649 -2.4439
Ca -5.5934 -6.8205 -2.5138
I -2.9518 -11.4234 -0.0053
I -2.7305 -2.8939 -0.7981
I -5.0016 -12.1066 -8.1286
I -4.7176 -3.5842 -8.9034
I -3.6557 -14.1914 -3.9727
I -2.2878 -10.1155 -3.8870
I -0.6354 -5.9807 -3.9573
I -7.2778 -17.3057 -4.2761
I -0.9612 -1.7119 -4.3606
I -7.6036 -13.0370 -4.6795
I -5.9512 -8.9021 -4.7498
I -4.5833 -4.8263 -4.6640
I -3.5214 -15.4334 0.2666
I -3.2374 -6.9111 -0.5081
I -5.5086 -16.1238 -7.8387
I -5.2873 -7.5943 -8.6315
```

Calculated values
space group = P2_1/c
calculated total energy = -0.1183 Ha/atom
volume = 1103.8 Å³ per cell



Record 3
Material: SrCaI4
Method: DFT, PBE
State: relaxed

Structure (extended XYZ):
```
6
Lattice="5.3983 -5.4002 0.0000 5.3983 5.4002 0.0000 0.0000 0.0000 4.7877" Properties=species:S:1:pos:R:3 pbc="T T T"
Sr 0.0000 0.0000 0.0000
Ca 5.3983 0.0000 2.3939
I 2.2381 0.0000 2.3939
I 5.3983 -2.0763 0.0000
I 5.3983 2.0763 0.0000
I 8.5584 0.0000 2.3939
```

Calculated values
space group = Cmmm
calculated total energy = -0.1203 Ha/atom
volume = 279.1 Å³ per cell



Record 4
Material: SrCaI4
Method: DFT, PBE
State: relaxed

Structure (extended XYZ):
```
24
Lattice="7.7139 0.0000 0.0000 0.0000 9.5399 0.0000 0.0000 9.0557 15.6731" Properties=species:S:1:pos:R:3 pbc="T T T"
Sr 3.0274 12.8650 9.8619
Sr 0.8295 8.3372 2.0254
Sr 6.8843 10.2584 13.6477
Sr 4.6865 5.7305 5.8112
Ca 0.5809 15.0882 13.6452
Ca 3.2760 10.5603 5.8086
Ca 4.4378 8.0352 9.8644
Ca 7.1329 3.5074 2.0279
I 1.8580 6.3139 10.7603
I 1.9990 1.7861 2.9238
I 5.6069 5.1876 8.9585
I 5.9639 0.6597 1.1220
I 1.7414 12.2496 12.8202
I 2.0688 9.8890 8.7105
I 2.1156 7.7218 4.9837
I 5.9257 13.2344 14.7991
I 1.7881 5.3611 0.8739
I 5.5983 10.8738 10.6894
I 5.6451 8.7066 6.9626
I 5.9725 6.3459 2.8529
I 1.7500 17.9358 14.5511
I 2.1070 13.4080 6.7146
I 5.7149 16.8095 12.7493
I 5.8559 12.2816 4.9128
```

Calculated values
space group = P2_1/c
calculated total energy = -0.1193 Ha/atom
volume = 1153.4 Å³ per cell



Record 5
Material: SrCaI4
Method: DFT, PBE
State: relaxed

Structure (extended XYZ):
```
12
Lattice="0.8624 -4.6985 7.6867 8.0425 3.1059 -2.7524 3.0018 4.5557 5.4705" Properties=species:S:1:pos:R:3 pbc="T T T"
Sr 5.7331 1.5654 7.9814
Sr 6.1736 1.3978 2.4234
Ca 8.7899 4.2416 -1.3804
Ca 3.1167 -1.2784 11.7852
I 8.8751 2.6883 6.8323
I 4.4413 -1.6221 8.7094
I 10.5913 5.7090 4.6855
I 5.4003 3.4960 5.0461
I 6.5064 -0.5328 5.3587
I 1.3154 -2.7458 5.7193
I 7.4653 4.5853 1.6954
I 3.0316 0.2748 3.5725
```

Calculated values
space group = C2/c
calculated total energy = -0.1184 Ha/atom
volume = 481.0 Å³ per cell



Record 6
Material: SrCaI4
Method: DFT, PBE
State: relaxed

Structure (extended XYZ):
```
24
Lattice="6.9366 7.6909 0.0000 -6.9366 7.6909 0.0000 0.0000 5.5820 11.8100" Properties=species:S:1:pos:R:3 pbc="T T T"
Sr 0.0000 14.3309 7.6844
Sr 2.7169 7.6909 0.0000
Sr -2.7169 7.6909 0.0000
Sr 0.0000 6.6328 4.1256
Ca 0.0000 11.3763 1.8705
Ca 2.5387 10.4819 5.9050
Ca -2.5387 10.4819 5.9050
Ca 0.0000 9.5874 9.9396
I -4.4906 8.4236 6.8457
I 4.4906 8.4236 6.8457
I 2.2560 7.7975 10.7503
I -2.2560 7.7975 10.7503
I 0.0000 15.2128 10.9505
I 0.0000 12.3457 4.9607
I -2.1084 11.8527 8.8104
I 2.1084 11.8527 8.8104
I 2.1084 9.1110 2.9997
I -2.1084 9.1110 2.9997
I 0.0000 8.6180 6.8494
I 0.0000 5.7510 0.8595
I -2.2560 13.1662 1.0598
I 2.2560 13.1662 1.0598
I -4.4906 12.5402 4.9643
I 4.4906 12.5402 4.9643
```

Calculated values
space group = C2/m
calculated total energy = -0.1181 Ha/atom
volume = 1260.1 Å³ per cell



Record 7
Material: SrCa2I6
Method: DFT, PBE
State: relaxed

Structure (extended XYZ):
```
9
Lattice="3.9803 -6.8941 0.0000 3.9803 6.8941 0.0000 0.0000 0.0000 7.3302" Properties=species:S:1:pos:R:3 pbc="T T T"
Sr 0.0000 0.0000 0.0000
Ca 3.9803 2.2980 3.6651
Ca 3.9803 -2.2980 3.6651
I 2.6008 4.5047 5.4497
I 1.3795 2.3894 1.8804
I 2.7591 0.0000 5.4497
I 5.2016 0.0000 1.8804
I 1.3795 -2.3894 1.8804
I 2.6008 -4.5047 5.4497
```

Calculated values
space group = P-31m
calculated total energy = -0.1206 Ha/atom
volume = 402.3 Å³ per cell



Record 8
Material: SrCaI4
Method: DFT, PBE
State: relaxed

Structure (extended XYZ):
```
12
Lattice="6.6507 5.8244 -1.7976 -4.9397 3.6657 6.5992 3.9241 -7.8598 2.0523" Properties=species:S:1:pos:R:3 pbc="T T T"
Sr 2.8176 0.8151 3.4269
Sr 3.3254 2.9122 -0.8988
Ca 1.7343 -4.8337 3.2622
Ca 3.9009 6.4639 3.5915
I 0.3556 -0.0296 5.4293
I -2.1593 3.5767 4.3421
I 3.3323 3.6916 5.0424
I 4.6946 -0.8648 5.5338
I 0.9405 2.4951 1.3200
I 7.7944 -1.9464 2.5117
I 2.3028 -2.0613 1.8114
I 5.2795 1.6599 1.4245
```

Calculated values
space group = Imma
calculated total energy = -0.1203 Ha/atom
volume = 560.9 Å³ per cell



Record 9
Material: SrCaI4
Method: DFT, PBE
State: relaxed

Structure (extended XYZ):
```
6
Lattice="-2.9882 0.2120 -3.5992 3.8150 -5.4267 -3.4870 -4.6930 -5.6203 3.5651" Properties=species:S:1:pos:R:3 pbc="T T T"
Sr 0.0000 0.0000 0.0000
Ca -3.8406 -2.7041 -0.0170
I -2.1737 -4.9539 1.5128
I -1.4147 -2.2166 -2.0024
I -2.4515 -8.6184 -1.5187
I 1.2957 -6.0931 -1.4346
```

Calculated values
space group = P2/m
calculated total energy = -0.1216 Ha/atom
volume = 285.8 Å³ per cell



Record 10
Material: SrCaI4
Method: DFT, PBE
State: relaxed

Structure (extended XYZ):
```
24
Lattice="16.3264 0.0000 0.0000 0.0000 8.1045 0.0000 0.0000 0.6045 8.3484" Properties=species:S:1:pos:R:3 pbc="T T T"
Sr 14.1443 3.3390 7.4624
Sr 10.3453 3.0368 3.2882
Sr 5.9811 5.6723 5.0603
Sr 2.1821 5.3700 0.8860
Ca 2.2298 2.2882 6.1946
Ca 5.9334 1.9859 2.0203
Ca 10.3930 6.7231 6.3281
Ca 14.0966 6.4209 2.1539
I 11.5042 1.4591 6.0799
I 7.3443 2.5224 4.7452
I 4.5665 3.8791 7.7335
I 12.9855 1.1569 1.9057
I 15.8410 2.2585 4.9430
I 0.8189 2.2202 0.5710
I 3.5967 3.5769 3.5593
I 8.6487 1.9562 0.7688
I 7.6777 6.7528 7.5797
I 12.7297 5.1322 4.7892
I 15.5075 6.4888 7.7775
I 0.4855 6.4506 3.4054
I 3.3410 7.5522 6.4427
I 11.7599 4.8299 0.6149
I 8.9822 6.1866 3.6032
I 4.8223 7.2499 2.2685
```

Calculated values
space group = P2_1/c
calculated total energy = -0.1184 Ha/atom
volume = 1104.6 Å³ per cell



Record 11
Material: SrCa2I6
Method: DFT, PBE
State: relaxed

Structure (extended XYZ):
```
18
Lattice="-4.7423 -5.1674 -4.8391 6.9517 -3.0968 3.8328 -6.2582 -3.7953 9.3454" Properties=species:S:1:pos:R:3 pbc="T T T"
Sr 2.0358 -5.9826 10.6770
Sr -6.0845 -6.0769 -2.3379
Ca 0.2323 -5.9845 4.7651
Ca 2.2710 -3.5712 1.4397
Ca -6.3197 -8.4883 6.8995
Ca -4.2810 -6.0749 3.5740
I -3.3616 -8.5789 7.9691
I -6.5538 -5.5762 5.7088
I 2.7058 -6.0259 6.8705
I 4.8915 -2.6278 3.1118
I -4.8076 -9.1217 4.2006
I -2.5147 -5.1478 6.0079
I -1.5340 -6.9117 2.3313
I 0.7589 -2.9378 4.1385
I -8.9402 -9.4316 5.2273
I -6.7545 -6.0335 1.4686
I 2.5051 -6.4833 2.6304
I -0.6872 -3.4806 0.3700
```

Calculated values
space group = C2/c
calculated total energy = -0.1193 Ha/atom
volume = 749.4 Å³ per cell



Record 12
Material: SrCa2I6
Method: DFT, PBE
State: relaxed

Structure (extended XYZ):
```
36
Lattice="7.4198 0.0000 0.0000 0.0000 14.5239 0.0000 0.0000 0.0000 14.6481" Properties=species:S:1:pos:R:3 pbc="T T T"
Sr 5.4118 8.7875 11.0422
Sr 2.0079 1.5255 10.9300
Sr 1.7020 12.9984 3.6060
Sr 5.7178 5.7365 3.7181
Ca 5.8227 10.2152 5.4790
Ca 5.1383 1.7197 6.4157
Ca 2.2814 8.9817 0.9084
Ca 1.5971 2.9533 1.8451
Ca 2.1128 11.5707 9.1692
Ca 1.4285 5.5423 8.2324
Ca 5.9913 12.8042 13.7398
Ca 5.3070 4.3087 12.8030
I 4.5480 3.9440 1.1844
I 3.9895 8.4196 3.5200
I 4.6374 1.1224 12.8585
I 3.8738 7.2014 13.4524
I 3.6485 4.5682 6.1237
I 3.5830 4.2353 10.1685
I 3.8368 11.4972 11.8038
I 3.7713 11.8302 1.2004
I 3.5460 14.4633 8.5198
I 2.7824 8.3844 9.1138
I 3.4303 1.1576 3.8040
I 2.8718 11.2059 6.1396
I 0.8381 3.3180 13.4637
I 0.2796 13.3664 11.1281
I 0.9275 6.1395 1.7897
I 0.1639 0.0606 1.1957
I 7.3584 2.6938 8.5245
I 7.2929 3.0267 4.4797
I 0.1269 10.2887 2.8444
I 0.0614 9.9557 13.4478
I 7.2559 7.3226 6.1284
I 6.4923 13.4015 5.5344
I 7.1402 6.1044 10.8441
I 6.5817 10.5800 8.5085
```

Calculated values
space group = P2_12_12_1
largest piezoelectric modulus = 0.0 C/m²
calculated total energy = -0.1185 Ha/atom
volume = 1578.5 Å³ per cell



Record 13
Material: SrCaI4
Method: DFT, PBE
State: relaxed

Structure (extended XYZ):
```
24
Lattice="7.1954 0.0000 0.0000 0.0000 7.9429 0.0000 0.0000 0.0000 18.8353" Properties=species:S:1:pos:R:3 pbc="T T T"
Sr 0.0000 1.9857 1.3345
Sr 0.0000 5.9571 17.5008
Sr 3.5977 5.9571 8.0831
Sr 3.5977 1.9857 10.7522
Ca 0.0000 1.9857 5.9836
Ca 0.0000 5.9571 12.8517
Ca 3.5977 1.9857 15.4012
Ca 3.5977 5.9571 3.4341
I 1.8558 4.6977 1.1143
I 1.8558 0.7263 17.7210
I 1.8188 0.6849 3.7318
I 1.8188 4.6564 15.1035
I 1.7789 4.6564 5.6859
I 1.7789 0.6849 13.1494
I 1.7419 0.7263 8.3033
I 1.7419 4.6977 10.5320
I 5.4535 3.2452 8.3033
I 5.4535 7.2166 10.5320
I 5.4165 3.2865 13.1494
I 5.4165 7.2579 5.6859
I 5.3766 3.2865 3.7318
I 5.3766 7.2579 15.1035
I 5.3396 7.2166 1.1143
I 5.3396 3.2452 17.7210
```

Calculated values
space group = Pbcn
calculated total energy = -0.1199 Ha/atom
volume = 1076.5 Å³ per cell



Record 14
Material: SrCa2I6
Method: DFT, PBE
State: relaxed

Structure (extended XYZ):
```
18
Lattice="8.0546 0.0000 0.0000 0.0000 7.4191 0.0000 0.0000 6.7200 13.0505" Properties=species:S:1:pos:R:3 pbc="T T T"
Sr 0.0000 0.0000 0.0000
Sr 4.0273 3.3600 6.5253
Ca 4.8640 6.6809 3.3276
Ca 0.8367 4.0982 3.1977
Ca 7.2179 10.0409 9.8529
Ca 3.1906 7.4582 9.7229
I 2.6356 5.8533 1.1938
I 6.5274 4.8546 1.2189
I 3.4414 2.2243 3.4507
I 7.4687 8.5547 3.0746
I 2.5001 5.9245 5.3063
I 6.6629 4.9257 5.3314
I 1.3917 9.2134 7.7191
I 5.5545 8.2146 7.7442
I 0.5859 5.5844 9.9760
I 4.6132 11.9148 9.5998
I 1.5272 9.2845 11.8316
I 5.4190 8.2858 11.8567
```

Calculated values
space group = P2_1/c
calculated total energy = -0.1189 Ha/atom
volume = 779.9 Å³ per cell



Record 15
Material: SrCa2I6
Method: DFT, PBE
State: relaxed

Structure (extended XYZ):
```
18
Lattice="3.8041 12.5506 0.0000 -3.8041 12.5506 0.0000 0.0000 0.8145 8.6064" Properties=species:S:1:pos:R:3 pbc="T T T"
Sr 1.7498 13.1615 6.4548
Sr -1.7498 12.7542 2.1516
Ca -2.0837 8.7571 5.4156
Ca 2.0837 8.3498 1.1124
Ca -2.0837 17.5658 7.4940
Ca 2.0837 17.1585 3.1908
I -0.4442 11.2782 4.9511
I 0.4442 10.8710 0.6479
I 0.0872 23.1722 7.4951
I -0.0872 22.7649 3.1919
I 0.2815 7.7662 7.4052
I -0.2815 7.3589 3.1020
I 0.2815 18.5568 5.5044
I -0.2815 18.1495 1.2012
I 0.0872 3.1507 5.4145
I -0.0872 2.7434 1.1113
I -0.4442 15.0447 7.9585
I 0.4442 14.6374 3.6553
```

Calculated values
space group = C2/c
calculated total energy = -0.1186 Ha/atom
volume = 821.8 Å³ per cell